[1]
First-principles (r²SCAN) data for a geometry-optimized CaZrO3 structure, as listed in the Materials Project.

The total DFT energy (no corrections) is -263.2 eV for the cell shown. For the formation energy, the calculation gives -3620 meV/atom.

The structure belongs to space group Pnma (No. 62); the cell edges are 5.7781, 8.0174 and 5.5850 Å and the angles 90.00°, 90.00° and 90.00°. The distinct sites, in fractional coordinates, are Ca at (0.0520, 0.2500, 0.0135), Zr at (0.0000, 0.0000, 0.5000), O at (0.0416, 0.7500, 0.3932) and O at (0.2003, 0.5566, 0.8024).

=====

[2]
First-principles (r²SCAN) data for a geometry-optimized BaV2O6 structure, as listed in the Materials Project.

The total DFT energy (no corrections) is -693.7 eV for the cell shown. For the formation energy, the calculation gives -2788 meV/atom.

The structure belongs to space group C222 (No. 21); the cell edges are 8.5146, 12.6927 and 7.9618 Å and the angles 90.00°, 90.00° and 90.00°. The distinct sites, in fractional coordinates, are Ba at (0.0000, 0.0000, 0.0000), Ba at (0.0000, 0.1631, 0.5000), V at (0.1757, 0.4266, 0.2600), V at (0.2500, 0.2500, 0.9352), O at (0.0000, 0.5000, 0.2450), O at (0.0932, 0.2251, 0.8184), O at (0.1670, 0.0016, 0.6998), O at (0.1679, 0.3399, 0.4133) and O at (0.2242, 0.3668, 0.0620).

=====

[3]
First-principles (r²SCAN) data for a geometry-optimized ErAlB4 structure, as listed in the Materials Project.

The total DFT energy (no corrections) is -293.6 eV for the cell shown. For the formation energy, the calculation gives -558 meV/atom.

The structure belongs to space group Pbam (No. 55); the cell edges are 5.9187, 11.4758 and 3.5252 Å and the angles 90.00°, 90.00° and 90.00°. The distinct sites, in fractional coordinates, are Er at (0.1284, 0.1501, 0.0000), Al at (0.1373, 0.4099, 0.0000), B at (0.0270, 0.6926, 0.5000), B at (0.1141, 0.5470, 0.5000), B at (0.1333, 0.9692, 0.5000) and B at (0.2107, 0.8125, 0.5000).

=====

[4]
First-principles (r²SCAN) data for a geometry-optimized Na2O structure, as listed in the Materials Project.

The total DFT energy (no corrections) is -67.9 eV for the cell shown. For the formation energy, the calculation gives -1293 meV/atom.

The structure belongs to space group C2/m (No. 12); the cell edges are 6.4738, 3.7489 and 8.1139 Å and the angles 90.00°, 106.28° and 90.00°. The distinct sites, in fractional coordinates, are Na at (0.1118, 0.0000, 0.3186), Na at (0.2041, 0.5000, 0.1040) and O at (0.0930, 0.5000, 0.7912).

=====

[5]
First-principles (r²SCAN) data for a geometry-optimized Ni7Ge4 structure, as listed in the Materials Project.

The total DFT energy (no corrections) is -141.8 eV for the cell shown. For the formation energy, the calculation gives -225 meV/atom.

The structure belongs to space group P-6m2 (No. 187); the cell edges are 3.9358, 3.9358 and 9.9216 Å and the angles 90.00°, 90.00° and 120.00°. The distinct sites, in fractional coordinates, are Ni at (0.0000, 0.0000, 0.0000), Ni at (0.3333, 0.6667, 0.1269), Ni at (0.3333, 0.6667, 0.3788), Ni at (0.6667, 0.3333, 0.2551), Ge at (0.0000, 0.0000, 0.2564), Ge at (0.6667, 0.3333, 0.0000) and Ge at (0.6667, 0.3333, 0.5000).

=====

[6]
First-principles (r²SCAN) data for a geometry-optimized SiO2 structure, as listed in the Materials Project.

The total DFT energy (no corrections) is -356.0 eV for the cell shown. For the formation energy, the calculation gives -2983 meV/atom.

The structure belongs to space group Pnnm (No. 58); the cell edges are 4.9782, 8.2739 and 14.0508 Å and the angles 90.00°, 90.00° and 90.00°. The distinct sites, in fractional coordinates, are Si at (0.1157, 0.1820, 0.2012), Si at (0.2474, 0.1190, 0.0000), O at (0.0000, 0.0000, 0.0000), O at (0.0000, 0.0000, 0.2060), O at (0.0000, 0.5000, 0.5000), O at (0.1322, 0.6987, 0.2265) and O at (0.2306, 0.2264, 0.0959).

=====

[7]
First-principles (r²SCAN) data for a geometry-optimized Hf5FeTe3 structure, as listed in the Materials Project.

The total DFT energy (no corrections) is -1287.1 eV for the cell shown. For the formation energy, the calculation gives -595 meV/atom.

The structure belongs to space group Pnma (No. 62); the cell edges are 18.0106, 3.6723 and 13.3154 Å and the angles 90.00°, 90.00° and 90.00°. The distinct sites, in fractional coordinates, are Hf at (0.0426, 0.2500, 0.0694), Hf at (0.0877, 0.2500, 0.8469), Hf at (0.1223, 0.7500, 0.2244), Hf at (0.2117, 0.2500, 0.0615), Hf at (0.2439, 0.7500, 0.8588), Fe at (0.1306, 0.7500, 0.9765), Te at (0.0006, 0.7500, 0.7141), Te at (0.1490, 0.7500, 0.4419) and Te at (0.2067, 0.2500, 0.6946).

=====

[8]
First-principles (r²SCAN) data for a geometry-optimized NbPd3 structure, as listed in the Materials Project.

The total DFT energy (no corrections) is -571.9 eV for the cell shown. For the formation energy, the calculation gives -423 meV/atom.

The structure belongs to space group Pmmn (No. 59, origin choice 2); the cell edges are 5.5275, 13.7202 and 4.8798 Å and the angles 90.00°, 90.00° and 90.00°. The distinct sites, in fractional coordinates, are Nb at (0.2500, 0.0856, 0.1643), Nb at (0.2500, 0.7500, 0.5118), Pd at (0.0013, 0.5826, 0.3375), Pd at (0.0017, 0.7500, 0.0115), Pd at (0.2500, 0.2500, 0.4779) and Pd at (0.2500, 0.5843, 0.8400).

=====

[9]
First-principles (r²SCAN) data for a geometry-optimized Gd2Ti2O7 structure, as listed in the Materials Project.

The total DFT energy (no corrections) is -1552.5 eV for the cell shown. For the formation energy, the calculation gives -3599 meV/atom.

The structure belongs to space group Fd-3m (No. 227, origin choice 2); the cell edges are 10.1868, 10.1868 and 10.1868 Å and the angles 90.00°, 90.00° and 90.00°. The distinct sites, in fractional coordinates, are Gd at (0.0000, 0.0000, 0.0000), Ti at (0.0000, 0.0000, 0.5000), O at (0.0779, 0.3750, 0.8750) and O at (0.1250, 0.1250, 0.1250).

=====

[10]
First-principles (r²SCAN) data for a geometry-optimized Tl3GeF7 structure, as listed in the Materials Project.

The total DFT energy (no corrections) is -441.5 eV for the cell shown. For the formation energy, the calculation gives -2314 meV/atom.

The structure belongs to space group P4/mbm (No. 127); the cell edges are 7.9926, 7.9926 and 5.8948 Å and the angles 90.00°, 90.00° and 90.00°. The distinct sites, in fractional coordinates, are Tl at (0.0000, 0.0000, 0.0000), Tl at (0.1977, 0.3023, 0.5000), Ge at (0.0000, 0.5000, 0.0000), F at (0.0000, 0.0000, 0.5000), F at (0.1121, 0.6121, 0.2188) and F at (0.1601, 0.3399, 0.0000).

=====

[11]
First-principles (r²SCAN) data for a geometry-optimized Nb3Ni20B6 structure, as listed in the Materials Project.

The total DFT energy (no corrections) is -1471.1 eV for the cell shown. For the formation energy, the calculation gives -340 meV/atom.

The structure belongs to space group Fm-3m (No. 225); the cell edges are 10.5145, 10.5145 and 10.5145 Å and the angles 90.00°, 90.00° and 90.00°. The distinct sites, in fractional coordinates, are Nb at (0.0000, 0.0000, 0.0000), Nb at (0.2500, 0.2500, 0.2500), Ni at (0.0000, 0.1720, 0.1720), Ni at (0.1154, 0.1154, 0.3846) and B at (0.0000, 0.0000, 0.2672).

=====

[12]
First-principles (r²SCAN) data for a geometry-optimized HfAlCu2 structure, as listed in the Materials Project.

The total DFT energy (no corrections) is -300.2 eV for the cell shown. For the formation energy, the calculation gives -366 meV/atom.

The structure belongs to space group Fm-3m (No. 225); the cell edges are 6.1504, 6.1504 and 6.1504 Å and the angles 90.00°, 90.00° and 90.00°. The distinct sites, in fractional coordinates, are Hf at (0.0000, 0.0000, 0.0000), Al at (0.0000, 0.0000, 0.5000) and Cu at (0.2500, 0.2500, 0.2500).